[1]
# Ca5Gd3Ti5Mn3O24 | the Materials Project database | GGA+U | optimized geometry
# * total energy: -8.744 eV/atom
# * corrected total energy (MP2020 scheme): -9.2811 eV/atom
# * ΔH_f (0 K): -3.33 eV/atom
data_Ca5Gd3Ti5Mn3O24
_cell_length_a 5.415
_cell_length_b 5.641
_cell_length_c 15.297
_cell_angle_alpha 90.12
_cell_angle_beta 90.09
_cell_angle_gamma 90.85
_space_group_name_H-M_alt 'P 1'
_space_group_IT_number 1
loop_
_space_group_symop_operation_xyz
'x,y,z'
loop_
_atom_site_label
_atom_site_fract_x
_atom_site_fract_y
_atom_site_fract_z
Ca1 0.000 0.000 0.000
Ca2 0.000 0.008 0.503
Ca3 0.481 0.502 0.999
Ca4 0.496 0.403 0.248
Ca5 0.979 0.907 0.248
Gd1 0.473 0.518 0.504
Gd2 0.500 0.382 0.751
Gd3 0.967 0.882 0.751
Ti1 0.005 0.450 0.124
Ti2 0.490 0.975 0.377
Ti3 0.503 0.942 0.126
Ti4 0.976 0.469 0.376
Ti5 0.993 0.448 0.879
Mn1 0.482 0.946 0.877
Mn2 0.484 0.951 0.626
Mn3 0.988 0.446 0.626
O1 0.066 0.474 0.251
O2 0.086 0.477 0.751
O3 0.180 0.748 0.898
O4 0.189 0.741 0.105
O5 0.197 0.733 0.401
O6 0.201 0.764 0.601
O7 0.271 0.248 0.105
O8 0.276 0.266 0.897
O9 0.283 0.271 0.603
O10 0.290 0.242 0.400
O11 0.381 0.976 0.755
O12 0.403 0.972 0.252
O13 0.567 0.926 0.001
O14 0.580 0.921 0.498
O15 0.691 0.668 0.148
O16 0.695 0.651 0.356
O17 0.697 0.630 0.650
O18 0.700 0.638 0.847
O19 0.769 0.163 0.148
O20 0.771 0.132 0.655
O21 0.781 0.155 0.353
O22 0.782 0.150 0.850
O23 0.891 0.420 0.499
O24 0.899 0.424 0.002

***

[2]
# Li2CoSnP2O8 | the Materials Project database | GGA+U | optimized geometry
# * total energy: -6.521 eV/atom
# * corrected total energy (MP2020 scheme): -7.0306 eV/atom
# * energy above the most stable polymorph in this dataset: 0.002 eV/atom
# * ΔH_f (0 K): -2.36 eV/atom
data_Li2CoSnP2O8
_cell_length_a 5.926
_cell_length_b 9.877
_cell_length_c 12.032
_cell_angle_alpha 99.62
_cell_angle_beta 90.24
_cell_angle_gamma 90.09
_space_group_name_H-M_alt 'P 1'
_space_group_IT_number 1
loop_
_space_group_symop_operation_xyz
'x,y,z'
loop_
_atom_site_label
_atom_site_fract_x
_atom_site_fract_y
_atom_site_fract_z
Li1 0.000 0.000 0.000
Li2 0.002 0.495 0.004
Li3 0.008 0.754 0.503
Li4 0.493 0.255 0.504
Li5 0.497 0.496 0.003
Li6 0.505 0.003 0.998
Li7 0.509 0.742 0.502
Li8 0.993 0.239 0.501
Co1 0.244 0.231 0.816
Co2 0.252 0.732 0.817
Co3 0.750 0.267 0.190
Co4 0.753 0.765 0.185
Sn1 0.251 0.017 0.281
Sn2 0.251 0.517 0.283
Sn3 0.751 0.481 0.722
Sn4 0.755 0.980 0.720
P1 0.249 0.214 0.080
P2 0.252 0.713 0.082
P3 0.253 0.551 0.608
P4 0.255 0.050 0.607
P5 0.746 0.283 0.921
P6 0.750 0.445 0.397
P7 0.751 0.784 0.921
P8 0.752 0.945 0.394
O1 0.034 0.159 0.134
O2 0.037 0.657 0.136
O3 0.048 0.616 0.684
O4 0.052 0.123 0.682
O5 0.243 0.894 0.591
O6 0.248 0.609 0.496
O7 0.249 0.372 0.093
O8 0.251 0.135 0.955
O9 0.251 0.635 0.958
O10 0.251 0.871 0.096
O11 0.257 0.109 0.496
O12 0.258 0.394 0.591
O13 0.460 0.621 0.681
O14 0.463 0.112 0.683
O15 0.464 0.159 0.135
O16 0.466 0.657 0.137
O17 0.532 0.339 0.866
O18 0.538 0.841 0.865
O19 0.543 0.377 0.322
O20 0.547 0.882 0.317
O21 0.746 0.359 0.046
O22 0.747 0.601 0.414
O23 0.747 0.886 0.505
O24 0.749 0.125 0.906
O25 0.750 0.626 0.907
O26 0.750 0.862 0.045
O27 0.755 0.385 0.507
O28 0.759 0.102 0.412
O29 0.954 0.380 0.319
O30 0.958 0.876 0.321
O31 0.960 0.341 0.868
O32 0.967 0.839 0.867

***

[3]
# NaVMoO6 | the Materials Project database | GGA+U | optimized geometry
# * total energy: -6.832 eV/atom
# * corrected total energy (MP2020 scheme): -7.8351 eV/atom
# * ΔH_f (0 K): -2.18 eV/atom
data_NaVMoO6
_cell_length_a 3.733
_cell_length_b 5.140
_cell_length_c 7.341
_cell_angle_alpha 99.44
_cell_angle_beta 104.67
_cell_angle_gamma 111.23
_space_group_name_H-M_alt 'P 1'
_space_group_IT_number 1
loop_
_space_group_symop_operation_xyz
'x,y,z'
loop_
_atom_site_label
_atom_site_fract_x
_atom_site_fract_y
_atom_site_fract_z
Na1 0.000 0.000 0.000
V1 0.528 0.729 0.344
Mo1 0.431 0.265 0.613
O1 0.115 0.828 0.419
O2 0.328 0.361 0.306
O3 0.446 0.781 0.124
O4 0.512 0.197 0.842
O5 0.657 0.649 0.680
O6 0.848 0.170 0.541

***

Summary of total magnetic moment in μB per atom
0.125; 0.214; 0.000
(order as listed above)